# 1
Computed, not measured: a relaxed structure of TmCuSi at the GGA-PBE level of DFT.

Properties
Space group = No. 187
Energy of formation = -612 meV per atom
Energy with MP2020 corrections = -5.28 eV/atom
E = -5.3029 eV/atom
Crystal system = hexagonal

Lattice parameters (Å, degrees): 3.611 4.124 4.126 119.98 90.00 90.00
Element x y z (fractional)
Tm 0.000 0.000 0.000
Cu 0.500 0.333 0.667
Si 0.500 0.667 0.333



# 2
Computed, not measured: a relaxed structure of YUCu4Si4 at the GGA-PBE level of DFT.

Properties
Space group = No. 123
Energy of formation = -404 meV per atom
Energy with MP2020 corrections = -5.99 eV/atom
E = -6.0184 eV/atom
Crystal system = tetragonal

Lattice parameters (Å, degrees): 3.971 3.971 9.982 90.00 90.00 90.00
Element x y z (fractional)
Y 0.500 0.500 0.500
U 0.000 0.000 0.000
Cu 0.000 0.500 0.251
Cu 0.500 0.000 0.749
Cu 0.500 0.000 0.251
Cu 0.000 0.500 0.749
Si 0.500 0.500 0.116
Si 0.000 0.000 0.619
Si 0.000 0.000 0.381
Si 0.500 0.500 0.884



# 3
Computed, not measured: a relaxed structure of Y2Cu3Si at the GGA-PBE level of DFT.

Properties
Space group = No. 6
Energy of formation = -413 meV per atom
Energy with MP2020 corrections = -5.52 eV/atom
E = -5.5341 eV/atom
Crystal system = monoclinic

Lattice parameters (Å, degrees): 3.652 4.160 7.382 89.93 90.00 90.00
Element x y z (fractional)
Y 0.000 0.000 0.998
Y 0.000 0.500 0.501
Cu 0.500 0.500 0.838
Cu 0.500 0.500 0.174
Cu 0.500 0.000 0.658
Si 0.500 0.000 0.331



# 4
Computed, not measured: a relaxed structure of Y3Cu11Si4 at the GGA-PBE level of DFT.

Properties
Space group = No. 194
Energy of formation = -307 meV per atom
Energy with MP2020 corrections = -5.10 eV/atom
E = -5.1112 eV/atom
Crystal system = hexagonal

Lattice parameters (Å, degrees): 8.438 8.438 8.609 90.00 90.00 120.00
Element x y z (fractional)
Y 0.801 0.199 0.750
Y 0.199 0.801 0.250
Y 0.398 0.199 0.750
Y 0.602 0.801 0.250
Y 0.801 0.602 0.750
Y 0.199 0.398 0.250
Cu 0.851 0.149 0.408
Cu 0.149 0.851 0.592
Cu 0.299 0.149 0.408
Cu 0.149 0.851 0.908
Cu 0.701 0.851 0.592
Cu 0.851 0.149 0.092
Cu 0.851 0.701 0.408
Cu 0.701 0.851 0.908
Cu 0.149 0.299 0.592
Cu 0.299 0.149 0.092
Cu 0.149 0.299 0.908
Cu 0.851 0.701 0.092
Cu 0.435 0.565 0.750
Cu 0.565 0.435 0.250
Cu 0.130 0.565 0.750
Cu 0.870 0.435 0.250
Cu 0.435 0.870 0.750
Cu 0.565 0.130 0.250
Cu 0.667 0.333 0.013
Cu 0.333 0.667 0.987
Cu 0.333 0.667 0.513
Cu 0.667 0.333 0.487
Si 0.500 0.500 0.000
Si 0.000 0.500 0.000
Si 0.500 0.500 0.500
Si 0.500 0.000 0.000
Si 0.000 0.500 0.500
Si 0.500 0.000 0.500
Si 0.000 0.000 0.750
Si 0.000 0.000 0.250



# 5
Computed, not measured: a relaxed structure of Y3Cu4Si4 at the GGA-PBE level of DFT.

Properties
Space group = No. 71
Energy of formation = -615 meV per atom
Energy with MP2020 corrections = -5.84 eV/atom
E = -5.8677 eV/atom
Crystal system = orthorhombic

Lattice parameters (Å, degrees): 7.873 7.873 7.873 149.47 130.84 58.98
Element x y z (fractional)
Y 0.371 0.871 0.500
Y 0.629 0.129 0.500
Y 0.000 0.000 0.000
Cu 0.641 0.331 0.310
Cu 0.359 0.669 0.690
Cu 0.021 0.331 0.690
Cu 0.979 0.669 0.310
Si 0.216 0.216 0.000
Si 0.784 0.784 0.000
Si 0.684 0.500 0.184
Si 0.316 0.500 0.816



# 6
Computed, not measured: a relaxed structure of Zr3Cu4Si2 at the GGA-PBE level of DFT.

Properties
Space group = No. 189
Energy of formation = -513 meV per atom
Energy with MP2020 corrections = -6.39 eV/atom
E = -6.4053 eV/atom
Crystal system = hexagonal

Lattice parameters (Å, degrees): 6.382 6.382 3.993 90.00 90.00 120.00
Element x y z (fractional)
Zr 0.000 0.588 0.500
Zr 0.412 0.412 0.500
Zr 0.588 0.000 0.500
Cu 0.000 0.000 0.500
Cu 0.247 0.000 0.000
Cu 0.753 0.753 0.000
Cu 0.000 0.247 0.000
Si 0.667 0.333 0.000
Si 0.333 0.667 0.000



# 7
Computed, not measured: a relaxed structure of Zr2CuSi4 at the GGA-PBE level of DFT.

Properties
Space group = No. 63
Energy of formation = -491 meV per atom
Energy with MP2020 corrections = -6.62 eV/atom
E = -6.6591 eV/atom
Crystal system = orthorhombic

Lattice parameters (Å, degrees): 16.627 16.627 3.683 90.00 90.00 167.20
Element x y z (fractional)
Zr 0.676 0.324 0.750
Zr 0.324 0.676 0.250
Zr 0.953 0.047 0.750
Zr 0.047 0.953 0.250
Cu 0.250 0.750 0.750
Cu 0.750 0.250 0.250
Si 0.524 0.476 0.750
Si 0.476 0.524 0.250
Si 0.388 0.612 0.750
Si 0.612 0.388 0.250
Si 0.112 0.888 0.750
Si 0.888 0.112 0.250
Si 0.797 0.203 0.750
Si 0.203 0.797 0.250



# 8
Computed, not measured: a relaxed structure of ZrCuSi2 at the GGA-PBE level of DFT.

Properties
Space group = No. 129
Energy of formation = -493 meV per atom
Energy with MP2020 corrections = -6.37 eV/atom
E = -6.4033 eV/atom
Crystal system = tetragonal

Lattice parameters (Å, degrees): 3.702 3.702 9.145 90.00 90.00 90.00
Element x y z (fractional)
Zr 0.500 0.000 0.266
Zr 0.000 0.500 0.734
Cu 0.000 0.000 0.000
Cu 0.500 0.500 0.000
Si 0.000 0.500 0.170
Si 0.500 0.000 0.830
Si 0.500 0.500 0.500
Si 0.000 0.000 0.500